--- w ---
Fe10O9F11 | PBE with a Hubbard U | relaxed Values from VASP.

The structure in Quantum ESPRESSO input format:
```
&SYSTEM
  ibrav = 0, nat = 30, ntyp = 3
/
ATOMIC_SPECIES
Fe 55.84 Fe.upf
O 16.00 O.upf
F 19.00 F.upf
CELL_PARAMETERS angstrom
4.7706 0.0000 0.0000
-0.2724 4.7660 0.0000
-0.0353 -0.0322 15.4776
ATOMIC_POSITIONS angstrom
Fe 0.0000 0.0000 0.0000
Fe -0.0167 -0.0192 9.2762
Fe 1.8416 2.3559 13.9338
Fe 1.9161 2.4100 7.8426
Fe 2.0468 2.2347 1.7150
Fe 2.0363 2.1722 11.0133
Fe 2.1202 2.3327 4.6712
Fe 4.2105 4.5137 6.3888
Fe 4.2932 4.5535 12.5156
Fe 4.3161 4.6766 3.2238
O 0.4601 3.7526 14.0407
O 0.5396 3.7312 7.9289
O 1.0963 1.2914 12.4672
O 1.1714 1.3223 3.1989
O 1.2413 1.4499 0.1208
O 1.2316 1.4182 9.4197
O 2.8209 3.1131 6.2604
O 2.8954 3.1911 12.4653
O 2.9845 3.2437 3.1350
F 0.5058 3.7348 10.9112
F 0.5310 3.6905 4.6687
F 0.5406 3.7880 1.6208
F 1.0927 1.2980 6.2447
F 2.9935 3.3166 0.1414
F 2.9869 3.2870 9.4442
F 3.5252 0.9101 7.9463
F 3.5713 0.8237 4.6927
F 3.5644 0.8228 14.0588
F 3.6179 0.7816 10.9114
F 3.6544 0.8341 1.6048
```

--- x ---
Fe10O9F11 | PBE with a Hubbard U | relaxed Values from VASP.

The structure in Quantum ESPRESSO input format:
```
&SYSTEM
  ibrav = 0, nat = 30, ntyp = 3
/
ATOMIC_SPECIES
Fe 55.84 Fe.upf
O 16.00 O.upf
F 19.00 F.upf
CELL_PARAMETERS angstrom
4.7508 0.0000 0.0000
-0.1081 4.7623 0.0000
-0.0989 -0.0955 15.5509
ATOMIC_POSITIONS angstrom
Fe 0.0000 0.0000 0.0000
Fe -0.0543 -0.0354 12.4858
Fe 1.9042 2.4170 1.6208
Fe 1.8516 2.3101 14.0244
Fe 1.9136 2.4366 10.8832
Fe 2.0413 2.3013 4.8174
Fe 2.1412 2.4053 7.7020
Fe 4.2613 4.5292 9.4594
Fe 4.5000 -0.0016 6.2612
Fe 4.6796 0.0775 3.0480
O 0.5259 3.8010 10.9248
O 0.6192 3.8883 1.5769
O 0.5772 3.8033 14.0151
O 1.1831 1.4341 6.3037
O 1.2243 1.5186 0.0367
O 1.2166 1.5025 3.1768
O 1.1743 1.4575 12.4260
O 2.8814 3.2075 9.3710
O 2.9912 3.2840 6.2138
F 0.5653 3.7600 7.9376
F 0.6337 3.8315 4.5788
F 1.0628 1.3507 9.3692
F 3.0404 3.3782 0.0199
F 2.9674 3.3113 12.4833
F 3.0409 3.3774 3.1071
F 3.5196 0.8757 7.9742
F 3.5011 0.8854 10.9447
F 3.5882 0.9851 1.5578
F 3.5786 0.9348 4.5417
F 3.5321 0.8934 14.0137
```

Which structure is most stable? x, by 16 meV/atom over the runner-up.

--- w ---
Fe10O9F11 | PBE with a Hubbard U | relaxed Values from VASP.

The structure in Quantum ESPRESSO input format:
```
&SYSTEM
  ibrav = 0, nat = 30, ntyp = 3
/
ATOMIC_SPECIES
Fe 55.84 Fe.upf
O 16.00 O.upf
F 19.00 F.upf
CELL_PARAMETERS angstrom
4.7797 0.0000 0.0000
-0.2760 4.7745 0.0000
-0.0334 -0.0090 15.4488
ATOMIC_POSITIONS angstrom
Fe 0.0000 0.0000 0.0000
Fe 4.7714 0.0021 2.9857
Fe 0.0631 0.1797 6.1358
Fe 0.1037 0.1292 12.2206
Fe 0.2567 0.2793 9.2707
Fe 2.1123 2.6717 10.8246
Fe 2.2078 2.7996 1.4986
Fe 2.3161 2.5128 7.5967
Fe 2.3695 2.5725 4.7098
Fe 2.3973 2.5441 13.7318
O 0.6968 4.0265 1.4811
O 0.7519 4.0830 10.7525
O 1.3811 1.6350 12.3715
O 1.4575 1.6144 6.1001
O 1.4981 1.7184 9.2257
O 3.0968 3.4344 15.3624
O 3.1291 3.4483 3.0438
O 3.1907 3.5261 12.3046
O 3.2137 3.4787 6.1447
F 0.7250 4.0089 13.8926
F 0.7914 3.9714 4.4457
F 0.8446 4.0229 7.7893
F 1.3310 1.5682 15.4038
F 1.3629 1.5853 3.0021
F 3.2482 3.6029 9.2162
F 3.8206 1.0617 1.4636
F 3.8399 1.1040 4.3993
F 3.8561 1.0537 13.9055
F 3.8753 1.1371 10.7594
F 3.8807 1.1498 7.8234
```

--- x ---
Fe10O9F11 | PBE with a Hubbard U | relaxed Values from VASP.

The structure in Quantum ESPRESSO input format:
```
&SYSTEM
  ibrav = 0, nat = 30, ntyp = 3
/
ATOMIC_SPECIES
Fe 55.84 Fe.upf
O 16.00 O.upf
F 19.00 F.upf
CELL_PARAMETERS angstrom
3.3042 -3.4183 0.0000
3.3042 3.4183 0.0000
-0.0036 0.0000 15.5343
ATOMIC_POSITIONS angstrom
Fe 0.0000 0.0000 0.0000
Fe 3.2320 3.2796 9.2341
Fe 0.1389 0.0391 3.1310
Fe 3.3729 3.2796 6.3002
Fe 3.1616 -0.1722 4.5469
Fe 3.3025 -0.1171 7.7672
Fe 3.1439 -0.2947 1.5239
Fe 3.4433 -0.1722 10.9874
Fe 3.4611 -0.2947 14.0104
Fe 6.4661 0.0391 12.4033
O 1.2060 -0.1095 4.7393
O 1.2232 -0.1248 1.5216
O 1.3326 -0.1336 7.8030
O 3.2666 -1.4531 3.0878
O 3.3042 -1.4598 0.0000
O 3.3383 -1.4531 12.4465
O 5.2724 -0.1336 7.7313
O 5.3817 -0.1248 14.0127
O 5.3990 -0.1095 10.7950
F 1.3524 -0.1108 13.9460
F 1.3522 -0.1148 10.8248
F 3.2607 1.2591 3.0752
F 3.3442 1.2591 12.4591
F 3.2867 1.1917 6.2170
F 3.3042 1.1866 0.0000
F 3.3183 1.1917 9.3173
F 3.2802 -1.4576 6.2372
F 3.3248 -1.4576 9.2971
F 5.2526 -0.1108 1.5883
F 5.2528 -0.1148 4.7095
```

--- y ---
Fe10O9F11 | PBE with a Hubbard U | relaxed Values from VASP.

The structure in Quantum ESPRESSO input format:
```
&SYSTEM
  ibrav = 0, nat = 30, ntyp = 3
/
ATOMIC_SPECIES
Fe 55.84 Fe.upf
O 16.00 O.upf
F 19.00 F.upf
CELL_PARAMETERS angstrom
3.3314 -3.4139 0.0000
3.3314 3.4139 0.0000
-0.0995 0.0000 15.4843
ATOMIC_POSITIONS angstrom
Fe 0.0000 0.0000 0.0000
Fe 0.1850 0.1574 6.2241
Fe 0.1459 0.0681 12.2794
Fe 3.1631 0.0302 14.0471
Fe 3.4002 0.0302 1.4372
Fe 3.2816 -0.1235 7.7422
Fe 3.2804 -0.1596 4.6238
Fe 3.2829 -0.1596 10.8605
Fe 6.3783 0.1574 9.2602
Fe 6.4173 0.0681 3.2049
O 2.0368 0.0240 0.0391
O 2.0539 0.0020 12.3703
O 2.1055 0.0100 6.1898
O 4.4577 0.0100 9.2945
O 4.5093 0.0020 3.1140
O 4.5264 0.0240 15.4452
O 3.2816 -2.0835 7.7422
O 3.2590 -2.1115 10.8194
O 3.3042 -2.1115 4.6649
F 3.2731 2.0797 1.7295
F 3.2816 2.1006 7.7422
F 3.2562 2.0750 10.7907
F 3.3070 2.0750 4.6936
F 3.2902 2.0797 13.7548
F 1.9011 -0.0122 3.1161
F 1.8881 -0.0183 9.2858
F 4.6752 -0.0183 6.1985
F 4.6621 -0.0122 12.3682
F 3.2674 -2.0399 1.6907
F 3.2959 -2.0399 13.7936
```

Which structure is most stable? y, by 7 meV/atom over the runner-up.

--- w ---
LiMn2O4 | PBE with a Hubbard U | relaxed Values from VASP.

The structure in Quantum ESPRESSO input format:
```
&SYSTEM
  ibrav = 0, nat = 28, ntyp = 3
/
ATOMIC_SPECIES
Li 6.94 Li.upf
Mn 54.94 Mn.upf
O 16.00 O.upf
CELL_PARAMETERS angstrom
5.8660 0.0000 0.0000
-2.9330 5.0801 0.0000
0.0000 0.0000 9.7639
ATOMIC_POSITIONS angstrom
Li 0.0000 0.0000 0.0000
Li 0.0000 0.0000 4.8820
Li 0.0000 3.3868 3.8019
Li 2.9330 1.6934 8.6838
Mn 0.0000 1.7157 7.0100
Mn -1.4472 4.2223 7.0100
Mn 0.0000 3.3868 9.7228
Mn 1.4858 0.8578 2.1281
Mn 1.4472 4.2223 7.0100
Mn 2.9330 1.6934 4.8409
Mn 4.3802 0.8578 2.1281
Mn 2.9330 3.3645 2.1281
O 0.0000 0.0000 3.0698
O 0.0000 0.0000 7.9517
O -1.3186 2.6255 8.1267
O 0.0000 1.6061 1.0689
O -1.5421 4.2771 1.0689
O 1.3909 0.8030 5.9509
O 0.0000 3.3868 5.9763
O 1.3186 2.6255 8.1267
O 0.0000 4.9094 8.1267
O 2.9330 0.1708 3.2448
O 1.6144 2.4547 3.2448
O 2.9330 1.6934 1.0944
O 1.5421 4.2771 1.0689
O 4.4751 0.8030 5.9509
O 2.9330 3.4740 5.9509
O 4.2516 2.4547 3.2448
```

--- x ---
LiMn2O4 | PBE with a Hubbard U | relaxed Values from VASP.

The structure in Quantum ESPRESSO input format:
```
&SYSTEM
  ibrav = 0, nat = 126, ntyp = 3
/
ATOMIC_SPECIES
Li 6.94 Li.upf
Mn 54.94 Mn.upf
O 16.00 O.upf
CELL_PARAMETERS angstrom
0.0000 12.6472 12.6770
4.1928 0.0000 12.6770
4.1928 12.6472 0.0000
ATOMIC_POSITIONS angstrom
Li 5.2899 7.3858 11.5261
Li 5.2899 11.5850 7.4894
Li 1.0482 3.1618 3.1693
Li 3.1446 5.2034 9.5078
Li 7.3863 13.7095 13.8280
Li 3.1446 9.4854 5.3597
Li 5.2410 11.5270 15.8463
Li 5.2410 15.8090 11.6982
Li 0.9993 7.3858 7.4894
Li 7.3863 17.9086 17.8646
Li 3.1446 9.4854 13.6559
Li 3.1446 13.7675 9.5078
Li 5.2410 15.8090 19.9944
Li 0.9993 11.5850 11.5261
Li 5.2410 20.0911 15.8463
Li 7.3374 22.1327 22.1848
Li 3.0957 13.7095 17.8646
Li 3.0957 17.9086 13.8280
Mn 4.1928 6.3236 6.3385
Mn 4.1925 2.1134 10.6368
Mn 6.3368 10.5460 12.5567
Mn 4.2319 12.5865 4.2580
Mn 2.0967 2.1134 8.3788
Mn 6.2889 8.4370 14.7173
Mn 4.1887 8.3775 8.4880
Mn 6.3283 12.7079 10.5966
Mn 4.2404 4.2224 12.7973
Mn 2.0488 4.2224 6.2182
Mn 2.0573 6.3843 4.2580
Mn 4.2404 14.7484 6.2182
Mn 4.2319 6.3843 14.7575
Mn 4.1887 10.5933 10.5276
Mn 2.1005 8.3775 10.5276
Mn 4.1925 16.8574 8.3788
Mn 6.2851 14.7011 16.8661
Mn 2.0964 12.6472 6.3385
Mn 2.0964 6.3236 12.6770
Mn 4.1928 12.6472 12.6770
Mn 2.1005 10.5933 8.4880
Mn 4.1930 8.4370 16.9753
Mn 6.2851 16.9170 14.8265
Mn 4.1969 14.7011 14.8265
Mn 4.1536 18.9101 10.5966
Mn 4.1452 10.5460 19.1359
Mn 6.3283 18.9101 21.0960
Mn 6.3368 21.0720 19.1359
Mn 4.1452 21.0720 12.5567
Mn 2.0573 12.5865 14.7575
Mn 4.1969 16.9170 16.8661
Mn 2.0967 16.8574 10.6368
Mn 6.2889 23.1811 16.9753
Mn 4.1536 12.7079 21.0960
Mn 2.0488 14.7484 12.7973
Mn 4.1930 23.1811 14.7173
O 4.4010 6.2527 8.2904
O 4.3699 8.3039 6.5160
O 6.4208 8.6184 12.5408
O 4.3533 10.6683 4.2597
O 4.2932 12.5195 2.2969
O 4.3223 4.1219 10.8267
O 4.3244 2.2948 12.8133
O 2.1917 4.4081 4.2766
O 6.3896 12.7749 8.6354
O 1.9647 2.2948 6.2023
O 6.1939 10.7317 10.6152
O 1.9960 6.4513 2.2969
O 6.4187 10.4456 14.5273
O 6.3974 12.4836 12.5135
O 6.4497 14.6262 10.5983
O 4.3010 12.8109 6.1750
O 4.3010 6.1600 12.8405
O 1.9882 6.1600 6.1750
O 1.9669 4.1219 8.1888
O 4.0975 14.5628 4.2766
O 4.0593 8.4494 10.4285
O 1.9359 8.3026 4.2597
O 4.0975 4.4081 14.7389
O 4.0593 10.5214 8.5871
O 4.3244 16.6761 6.2023
O 4.3533 8.3026 14.7558
O 4.3699 10.6670 12.4995
O 4.3223 14.8489 8.1888
O 6.4974 12.5763 17.0637
O 4.4010 12.7182 10.7252
O 4.2932 6.4513 16.7186
O 2.2299 8.4494 8.5871
O 6.4663 16.9906 12.8546
O 6.1557 14.7730 14.9256
O 1.8882 6.2527 10.7252
O 1.9193 10.6670 6.5160
O 6.4663 14.6275 18.8380
O 6.4974 19.0418 14.6289
O 2.2299 10.5214 10.4285
O 1.9193 8.3039 12.4995
O 6.1557 16.8451 16.7670
O 4.0924 18.8431 8.6354
O 3.9846 12.5763 14.6289
O 1.8882 12.7182 8.2904
O 4.0633 10.4456 17.1653
O 4.0157 14.6275 12.8546
O 4.0322 16.9919 10.5983
O 4.0611 8.6184 19.1518
O 4.3263 14.7730 16.7670
O 4.2881 20.8864 10.6152
O 6.4497 16.9919 21.0943
O 4.3263 16.8451 14.9256
O 4.2881 10.7317 21.0774
O 6.4187 21.1725 17.1653
O 6.3974 19.1345 19.1791
O 4.0846 19.1345 12.5135
O 4.0846 12.4836 19.1791
O 1.9359 10.6683 14.7558
O 1.9882 12.8109 12.8405
O 1.9669 14.8489 10.8267
O 6.3896 18.8431 23.0572
O 2.1917 14.5628 14.7389
O 6.4208 22.9997 19.1518
O 1.9960 12.5195 16.7186
O 6.1939 20.8864 21.0774
O 4.0611 22.9997 12.5408
O 4.0633 21.1725 14.5273
O 4.0924 12.7749 23.0572
O 4.0322 14.6262 21.0943
O 1.9647 16.6761 12.8133
O 4.0157 16.9906 18.8380
O 3.9846 19.0418 17.0637
```

Which structure is most stable? x, by 9 meV/atom over the runner-up.

--- w ---
MgMn2O4 | PBE with a Hubbard U | relaxed Values from VASP.

The structure in Quantum ESPRESSO input format:
```
&SYSTEM
  ibrav = 0, nat = 28, ntyp = 3
/
ATOMIC_SPECIES
Mg 24.30 Mg.upf
Mn 54.94 Mn.upf
O 16.00 O.upf
CELL_PARAMETERS angstrom
6.0115 0.0000 0.0000
2.9743 5.2755 0.0000
2.9694 -1.6705 9.8981
ATOMIC_POSITIONS angstrom
Mg 0.0000 0.0000 0.0000
Mg 3.0317 1.8432 4.9431
Mg 7.3797 0.8929 7.9915
Mg 7.4784 4.3653 3.0289
Mn 1.5580 -0.7832 4.9361
Mn 1.5493 0.9055 2.4820
Mn 4.6016 -0.6810 6.8684
Mn 4.5939 2.7216 1.8998
Mn 8.9546 3.5903 9.8889
Mn 6.0487 1.8728 4.9586
Mn 10.4500 0.9882 9.8936
Mn 10.4657 2.7370 7.4387
O 5.7707 1.9131 8.6669
O 2.8627 0.1045 3.7346
O 5.9007 3.7761 6.0557
O 2.9103 1.7166 1.4144
O 4.5505 -0.7051 8.9273
O 4.5610 4.6650 1.2461
O 4.6142 2.8037 3.9492
O 4.6150 1.2445 6.1363
O 8.9385 1.8332 8.6543
O 7.3913 -1.0000 8.6964
O 7.4214 4.3321 1.0285
O 7.4568 0.9033 5.9525
O 7.4701 2.4576 3.7088
O 6.2272 -0.0080 3.6653
O 6.2270 1.6577 1.2879
O 9.2266 3.6033 6.0823
```

--- x ---
MgMn2O4 | PBE with a Hubbard U | relaxed Values from VASP.

The structure in Quantum ESPRESSO input format:
```
&SYSTEM
  ibrav = 0, nat = 56, ntyp = 3
/
ATOMIC_SPECIES
Mg 24.30 Mg.upf
Mn 54.94 Mn.upf
O 16.00 O.upf
CELL_PARAMETERS angstrom
5.2227 -3.0284 0.0000
5.2227 3.0284 0.0000
-3.4778 0.0000 19.7576
ATOMIC_POSITIONS angstrom
Mg 0.0000 0.0000 0.0000
Mg 0.0062 0.0000 14.8117
Mg 1.8371 0.0000 17.8996
Mg 3.4853 0.0000 9.8636
Mg 5.2284 0.0000 7.3891
Mg 5.3151 0.0000 12.9228
Mg 6.9615 0.0000 4.9289
Mg 8.6946 0.0000 2.4658
Mn 2.6269 1.5112 0.0023
Mn -1.8087 0.0000 11.7264
Mn -1.7538 0.0000 17.2926
Mn 1.8131 0.0000 3.1412
Mn 2.6079 1.5073 14.8110
Mn 4.3510 1.5137 4.9274
Mn 1.6635 0.0000 6.7282
Mn 1.7581 0.0000 12.3564
Mn 6.0710 1.5074 9.8588
Mn 2.6269 -1.5112 0.0023
Mn 5.1423 0.0000 1.8225
Mn 2.6079 -1.5073 14.8110
Mn 4.3510 -1.5137 4.9274
Mn 5.1495 0.0000 16.6835
Mn 8.7803 0.0000 8.0245
Mn 6.0710 -1.5074 9.8588
O -0.1378 0.0000 3.8273
O -1.8295 0.0000 13.7968
O 2.7764 1.6330 3.8056
O 1.0261 1.3683 13.6010
O 4.1938 1.6265 1.1005
O 1.8137 0.0000 1.0471
O 2.4224 1.3502 11.0761
O 0.1335 0.0000 11.0624
O -0.0947 0.0000 18.5847
O 2.7910 1.6577 18.5483
O 1.6534 0.0000 8.8262
O 4.4997 1.4031 8.7600
O 4.1819 1.6780 16.0218
O 5.9242 1.3975 6.0488
O 1.8243 0.0000 15.8607
O 3.6138 0.0000 6.0276
O 1.0261 -1.3683 13.6010
O 3.4268 0.0000 13.5551
O 5.1375 0.0000 3.8737
O 2.7764 -1.6330 3.8056
O 2.4224 -1.3502 11.0761
O 4.1938 -1.6265 1.1005
O 5.3014 0.0000 10.9208
O 7.0612 0.0000 1.0847
O 6.8678 0.0000 8.7519
O 5.1458 0.0000 18.7116
O 4.4997 -1.4031 8.7600
O 2.7910 -1.6577 18.5483
O 5.9242 -1.3975 6.0488
O 8.7877 0.0000 5.9773
O 7.0416 0.0000 16.0598
O 4.1819 -1.6780 16.0218
```

Which structure is most stable? w, by 6 meV/atom over the runner-up.